w) Density functional theory data (PBE with a Hubbard U) for a geometry-optimized Dy2WO6 structure.

a b c (Å): 5.595 16.100 10.663
angles (deg): 90.00 90.00 90.00
Space group Pbca (No. 61)
Unique sites:
Dy 0.046 0.229 0.144 (multiplicity 8)
Dy 0.099 0.062 0.358 (multiplicity 8)
W 0.111 0.120 0.878 (multiplicity 8)
O 0.077 0.021 0.788 (multiplicity 8)
O 0.093 0.607 0.487 (multiplicity 8)
O 0.117 0.574 0.957 (multiplicity 8)
O 0.164 0.671 0.732 (multiplicity 8)
O 0.175 0.233 0.941 (multiplicity 8)
O 0.180 0.647 0.230 (multiplicity 8)

Summary:
total moment: 0.00 μB per formula unit

x) Density functional theory data (PBE with a Hubbard U) for a geometry-optimized Dy2WO6 structure.

a b c (Å): 16.366 11.124 5.408
angles (deg): 90.00 107.23 90.00
Space group C2/c (No. 15)
Unique sites:
Dy 0.000 0.105 0.250 (multiplicity 4)
Dy 0.000 0.366 0.750 (multiplicity 4)
Dy 0.170 0.115 0.883 (multiplicity 8)
W 0.153 0.353 0.434 (multiplicity 8)
O 0.076 0.236 0.579 (multiplicity 8)
O 0.078 0.467 0.480 (multiplicity 8)
O 0.091 0.016 0.078 (multiplicity 8)
O 0.102 0.278 0.115 (multiplicity 8)
O 0.233 0.294 0.739 (multiplicity 8)
O 0.234 0.450 0.353 (multiplicity 8)

Summary:
total moment: 0.00 μB per formula unit

Most stable structure - w); separation to the second - 0.035 eV/atom.

w) Density functional theory data (PBE with a Hubbard U) for a geometry-optimized Li2FePCO7 structure.

a b c (Å): 5.088 6.502 16.659
angles (deg): 90.00 95.07 90.00
Space group P2_1/c (No. 14)
Unique sites:
Li 0.239 0.230 0.048 (multiplicity 4)
Li 0.247 0.532 0.861 (multiplicity 4)
Fe 0.200 0.735 0.665 (multiplicity 4)
P 0.276 0.244 0.710 (multiplicity 4)
C 0.299 0.727 0.021 (multiplicity 4)
O 0.052 0.746 0.038 (multiplicity 4)
O 0.144 0.230 0.289 (multiplicity 4)
O 0.169 0.058 0.658 (multiplicity 4)
O 0.219 0.069 0.152 (multiplicity 4)
O 0.369 0.712 0.950 (multiplicity 4)
O 0.420 0.718 0.770 (multiplicity 4)
O 0.473 0.728 0.084 (multiplicity 4)

Summary:
total moment: 5.00 μB per formula unit

x) Density functional theory data (PBE with a Hubbard U) for a geometry-optimized Li2FePCO7 structure.

a b c (Å): 8.320 6.489 10.168
angles (deg): 90.00 94.73 90.00
Space group P2_1/c (No. 14)
Unique sites:
Li 0.097 0.246 0.118 (multiplicity 4)
Li 0.275 0.034 0.374 (multiplicity 4)
Fe 0.330 0.742 0.600 (multiplicity 4)
P 0.420 0.245 0.639 (multiplicity 4)
C 0.040 0.745 0.149 (multiplicity 4)
O 0.077 0.740 0.026 (multiplicity 4)
O 0.102 0.220 0.316 (multiplicity 4)
O 0.162 0.726 0.737 (multiplicity 4)
O 0.304 0.063 0.598 (multiplicity 4)
O 0.318 0.063 0.096 (multiplicity 4)
O 0.420 0.723 0.927 (multiplicity 4)
O 0.461 0.242 0.291 (multiplicity 4)

Summary:
total moment: 5.00 μB per formula unit

Most stable structure - w); separation to the second - 0.005 eV/atom.

w) Density functional theory data (PBE with a Hubbard U) for a geometry-optimized Li2FePCO7 structure.

a b c (Å): 9.374 6.499 10.198
angles (deg): 90.00 117.53 90.00
Space group P2_1/c (No. 14)
Unique sites:
Li 0.099 0.244 0.185 (multiplicity 4)
Li 0.279 0.037 0.516 (multiplicity 4)
Fe 0.329 0.746 0.314 (multiplicity 4)
P 0.419 0.248 0.322 (multiplicity 4)
C 0.042 0.736 0.118 (multiplicity 4)
O 0.075 0.747 0.258 (multiplicity 4)
O 0.101 0.214 0.489 (multiplicity 4)
O 0.169 0.736 0.095 (multiplicity 4)
O 0.299 0.067 0.301 (multiplicity 4)
O 0.321 0.059 0.819 (multiplicity 4)
O 0.422 0.715 0.031 (multiplicity 4)
O 0.463 0.233 0.693 (multiplicity 4)

Summary:
total moment: 5.00 μB per formula unit

x) Density functional theory data (PBE with a Hubbard U) for a geometry-optimized Li2FePCO7 structure.

a b c (Å): 5.063 6.343 8.506
angles (deg): 96.09 93.05 94.25
Space group P-1 (No. 2)
Unique sites:
Li 0.143 0.017 0.216 (multiplicity 2)
Li 0.250 0.534 0.230 (multiplicity 2)
Fe 0.310 0.752 0.650 (multiplicity 2)
P 0.212 0.242 0.578 (multiplicity 2)
C 0.243 0.748 0.940 (multiplicity 2)
O 0.043 0.714 0.829 (multiplicity 2)
O 0.081 0.700 0.447 (multiplicity 2)
O 0.203 0.751 0.086 (multiplicity 2)
O 0.214 0.059 0.683 (multiplicity 2)
O 0.325 0.174 0.414 (multiplicity 2)
O 0.383 0.441 0.658 (multiplicity 2)
O 0.474 0.780 0.884 (multiplicity 2)

Summary:
total moment: 5.00 μB per formula unit

Most stable structure - x); separation to the second - 0.016 eV/atom.

w) Density functional theory data (PBE with a Hubbard U) for a geometry-optimized Li3Mn2CoO6 structure.

a b c (Å): 2.979 6.551 12.132
angles (deg): 102.41 93.26 102.53
Space group P-1 (No. 2)
Unique sites:
Li 0.003 0.011 0.256 (multiplicity 2)
Li 0.343 0.679 0.090 (multiplicity 2)
Li 0.352 0.668 0.569 (multiplicity 2)
Mn 0.309 0.663 0.837 (multiplicity 2)
Mn 0.341 0.676 0.334 (multiplicity 2)
Co 0.000 0.000 0.000 (multiplicity 1)
Co 0.000 0.000 0.500 (multiplicity 1)
O 0.129 0.347 0.793 (multiplicity 2)
O 0.170 0.342 0.056 (multiplicity 2)
O 0.200 0.341 0.552 (multiplicity 2)
O 0.217 0.347 0.272 (multiplicity 2)
O 0.464 0.970 0.877 (multiplicity 2)
O 0.489 0.988 0.374 (multiplicity 2)

Summary:
total moment: 6.96 μB per formula unit

x) Density functional theory data (PBE with a Hubbard U) for a geometry-optimized Li3Mn2CoO6 structure.

a b c (Å): 2.877 9.026 9.823
angles (deg): 116.86 91.23 90.10
Space group P-1 (No. 2)
Unique sites:
Li 0.000 0.000 0.000 (multiplicity 1)
Li 0.000 0.343 0.668 (multiplicity 2)
Li 0.497 0.657 0.833 (multiplicity 2)
Li 0.500 0.000 0.500 (multiplicity 1)
Mn 0.001 0.172 0.330 (multiplicity 2)
Mn 0.500 0.171 0.830 (multiplicity 2)
Co 0.000 0.500 0.000 (multiplicity 1)
Co 0.500 0.500 0.500 (multiplicity 1)
O 0.004 0.909 0.323 (multiplicity 2)
O 0.007 0.249 0.983 (multiplicity 2)
O 0.032 0.424 0.343 (multiplicity 2)
O 0.470 0.577 0.156 (multiplicity 2)
O 0.491 0.750 0.517 (multiplicity 2)
O 0.497 0.091 0.178 (multiplicity 2)

Summary:
total moment: 0.00 μB per formula unit

Most stable structure - x); separation to the second - 0.016 eV/atom.